Entry 1:
Compound: BiC6N9
Source: the Materials Project
Functional: PBE
Structure: optimized geometry

Results
VASP energy (eV per atom): -8.001
SG: Cmcm
Energy relative to the elements (eV per atom): 0.189
Total magnetic moment (μB per formula unit): 0.00

The structure in POSCAR format:
```
BiC6N9
1.0
3.856 -6.124 0.000
3.856 6.124 0.000
0.000 0.000 11.019
Bi C N
2 12 18
Direct
0.214 0.786 0.750
0.786 0.214 0.250
0.052 0.245 0.750
0.207 0.495 0.067
0.207 0.495 0.433
0.245 0.052 0.250
0.495 0.207 0.567
0.495 0.207 0.933
0.505 0.793 0.067
0.505 0.793 0.433
0.755 0.948 0.750
0.793 0.505 0.567
0.793 0.505 0.933
0.948 0.755 0.250
0.048 0.952 0.250
0.070 0.345 0.104
0.070 0.345 0.396
0.157 0.423 0.750
0.345 0.070 0.604
0.345 0.070 0.896
0.348 0.652 0.014
0.348 0.652 0.486
0.423 0.157 0.250
0.577 0.843 0.750
0.652 0.348 0.514
0.652 0.348 0.986
0.655 0.930 0.104
0.655 0.930 0.396
0.843 0.577 0.250
0.930 0.655 0.604
0.930 0.655 0.896
0.952 0.048 0.750
```

---

Entry 2:
Compound: SiO2
Source: the Materials Project
Functional: PBE
Structure: optimized geometry

Results
VASP energy (eV per atom): -7.911
SG: P2_13
Energy relative to the elements (eV per atom): -3.262
Largest piezoelectric modulus (C/m2): 0.04

The structure in POSCAR format:
```
SiO2
1.0
7.240 0.000 0.000
0.000 7.240 0.000
0.000 0.000 7.240
Si O
8 16
Direct
0.018 0.018 0.018
0.224 0.724 0.776
0.276 0.276 0.276
0.482 0.982 0.518
0.518 0.482 0.982
0.724 0.776 0.224
0.776 0.224 0.724
0.982 0.518 0.482
0.054 0.640 0.656
0.140 0.844 0.946
0.147 0.147 0.147
0.156 0.446 0.360
0.344 0.554 0.860
0.353 0.853 0.647
0.360 0.156 0.446
0.446 0.360 0.156
0.554 0.860 0.344
0.640 0.656 0.054
0.647 0.353 0.853
0.656 0.054 0.640
0.844 0.946 0.140
0.853 0.647 0.353
0.860 0.344 0.554
0.946 0.140 0.844
```

---

Entry 3:
Compound: LaSi2Ru2
Source: the Materials Project
Functional: PBE
Structure: optimized geometry

Results
VASP energy (eV per atom): -7.760
SG: I4/mmm
Energy relative to the elements (eV per atom): -0.893

The structure in POSCAR format:
```
LaSi2Ru2
1.0
-2.124 2.124 4.994
2.124 -2.124 4.994
2.124 2.124 -4.994
La Si Ru
1 2 2
Direct
0.000 0.000 0.000
0.361 0.361 0.000
0.639 0.639 0.000
0.250 0.750 0.500
0.750 0.250 0.500
```